(1)
{
  "formula": "Na2CoO3",
  "functional": "GGA+U",
  "state": "relaxed",
  "lattice": [[5.3676, 0.0000, 0.0000], [0.8474, 5.6200, 0.0000], [0.0842, 2.6595, 8.7440]],
  "species": ["Na", "Na", "Na", "Na", "Na", "Na", "Na", "Na", "Co", "Co", "Co", "Co", "O", "O", "O", "O", "O", "O", "O", "O", "O", "O", "O", "O"],
  "fractional_positions": [[0.0000, 0.0000, 0.0000], [0.0069, 0.0085, 0.3294], [0.0172, 0.0123, 0.6545], [0.2593, 0.5063, 0.5761], [0.4947, 0.0014, 0.4976], [0.5044, 0.0067, 0.8299], [0.5225, 0.0106, 0.1575], [0.7594, 0.5079, 0.0788], [0.2511, 0.5065, 0.9065], [0.2680, 0.5137, 0.2494], [0.7570, 0.5099, 0.4066], [0.7644, 0.5005, 0.7413], [0.1028, 0.3073, 0.4225], [0.1177, 0.3025, 0.8028], [0.1746, 0.3073, 0.0902], [0.3447, 0.7031, 0.0417], [0.3881, 0.7076, 0.7415], [0.4238, 0.7137, 0.3599], [0.6088, 0.3120, 0.9178], [0.6227, 0.3076, 0.3102], [0.6753, 0.3109, 0.6138], [0.8408, 0.6995, 0.5488], [0.8939, 0.7146, 0.2378], [0.9168, 0.6976, 0.8515]],
  "vol_a3_per_cell": 263.8,
  "total_energy_ev_per_atom": -4.938,
  "crystal_system": "triclinic",
  "total_magnetization_mub_per_atom": 0.166,
  "energy_mp2020_ev_per_atom": -5.55,
  "formation_enthalpy_0k_ev_per_atom": -1.46,
  "de_polymorph_ev_per_fu": 0.42
}

---

(2)
{
  "formula": "Na2Co3O6",
  "functional": "GGA+U",
  "state": "relaxed",
  "lattice": [[5.0888, 2.9380, 11.1706], [-5.0888, 2.9380, 11.1706], [0.0000, -5.8760, 11.1706]],
  "species": ["Na", "Na", "Na", "Na", "Na", "Na", "Na", "Na", "Na", "Na", "Na", "Na", "Na", "Na", "Na", "Na", "Co", "Co", "Co", "Co", "Co", "Co", "Co", "Co", "Co", "Co", "Co", "Co", "Co", "Co", "Co", "Co", "Co", "Co", "Co", "Co", "Co", "Co", "Co", "Co", "O", "O", "O", "O", "O", "O", "O", "O", "O", "O", "O", "O", "O", "O", "O", "O", "O", "O", "O", "O", "O", "O", "O", "O", "O", "O", "O", "O", "O", "O", "O", "O", "O", "O", "O", "O", "O", "O", "O", "O", "O", "O", "O", "O", "O", "O", "O", "O"],
  "fractional_positions": [[0.0596, 0.2500, 0.4404], [0.0840, 0.0840, 0.0840], [0.1141, 0.3859, 0.7500], [0.2500, 0.4404, 0.0596], [0.2500, 0.8859, 0.6141], [0.3859, 0.7500, 0.1141], [0.4160, 0.4160, 0.4160], [0.4404, 0.0596, 0.2500], [0.5596, 0.9404, 0.7500], [0.5840, 0.5840, 0.5840], [0.6141, 0.2500, 0.8859], [0.7500, 0.1141, 0.3859], [0.7500, 0.5596, 0.9404], [0.8859, 0.6141, 0.2500], [0.9160, 0.9160, 0.9160], [0.9404, 0.7500, 0.5596], [0.0000, 0.0000, 0.0000], [0.0000, 0.0000, 0.5000], [0.0000, 0.5000, 0.0000], [0.0000, 0.5000, 0.5000], [0.1608, 0.6686, 0.1689], [0.1689, 0.1608, 0.6686], [0.1686, 0.6608, 0.6689], [0.1698, 0.1698, 0.1698], [0.3302, 0.3302, 0.3302], [0.3311, 0.8314, 0.3392], [0.3314, 0.8311, 0.8392], [0.3392, 0.3311, 0.8314], [0.5000, 0.0000, 0.0000], [0.5000, 0.0000, 0.5000], [0.5000, 0.5000, 0.0000], [0.5000, 0.5000, 0.5000], [0.6608, 0.6689, 0.1686], [0.6686, 0.1689, 0.1608], [0.6689, 0.1686, 0.6608], [0.6698, 0.6698, 0.6698], [0.8302, 0.8302, 0.8302], [0.8314, 0.3392, 0.3311], [0.8311, 0.8392, 0.3314], [0.8392, 0.3314, 0.8311], [0.0259, 0.8705, 0.6906], [0.0298, 0.1924, 0.8709], [0.0303, 0.6864, 0.3711], [0.0324, 0.3759, 0.1910], [0.1241, 0.4676, 0.3090], [0.1295, 0.3094, 0.9741], [0.1289, 0.8136, 0.4697], [0.1291, 0.9702, 0.8076], [0.1864, 0.5303, 0.8711], [0.1910, 0.0324, 0.3759], [0.1906, 0.3705, 0.5259], [0.1924, 0.8709, 0.0298], [0.3076, 0.4702, 0.6291], [0.3090, 0.1241, 0.4676], [0.3094, 0.9741, 0.1295], [0.3136, 0.6289, 0.9697], [0.3711, 0.0303, 0.6864], [0.3705, 0.5259, 0.1906], [0.3709, 0.6924, 0.5298], [0.3759, 0.1910, 0.0324], [0.4676, 0.3090, 0.1241], [0.4697, 0.1289, 0.8136], [0.4702, 0.6291, 0.3076], [0.4741, 0.8094, 0.6295], [0.5259, 0.1906, 0.3705], [0.5298, 0.3709, 0.6924], [0.5303, 0.8711, 0.1864], [0.5324, 0.6910, 0.8759], [0.6241, 0.8090, 0.9676], [0.6291, 0.3076, 0.4702], [0.6295, 0.4741, 0.8094], [0.6289, 0.9697, 0.3136], [0.6864, 0.3711, 0.0303], [0.6906, 0.0259, 0.8705], [0.6910, 0.8759, 0.5324], [0.6924, 0.5298, 0.3709], [0.8076, 0.1291, 0.9702], [0.8094, 0.6295, 0.4741], [0.8090, 0.9676, 0.6241], [0.8136, 0.4697, 0.1289], [0.8709, 0.0298, 0.1924], [0.8711, 0.1864, 0.5303], [0.8705, 0.6906, 0.0259], [0.8759, 0.5324, 0.6910], [0.9676, 0.6241, 0.8090], [0.9697, 0.3136, 0.6289], [0.9702, 0.8076, 0.1291], [0.9741, 0.1295, 0.3094]],
  "vol_a3_per_cell": 1002.1,
  "total_energy_ev_per_atom": -5.433,
  "crystal_system": "trigonal",
  "total_magnetization_mub_per_atom": 0.636,
  "energy_mp2020_ev_per_atom": -6.25,
  "formation_enthalpy_0k_ev_per_atom": -1.38,
  "de_polymorph_ev_per_fu": 0.00
}

---

Number 1: ρ 3.9 g/cm³. Number 2: ρ 4.2 g/cm³.